(1)
# PBE Ca3Tb, optimized geometry
data_Ca3Tb
_cell_length_a 7.578
_cell_length_b 7.578
_cell_length_c 6.252
_cell_angle_alpha 90.00
_cell_angle_beta 90.00
_cell_angle_gamma 120.00
_symmetry_space_group_name_H-M 'P 1'
_symmetry_Int_Tables_number 1
loop_
_symmetry_equiv_pos_as_xyz
'x,y,z'
loop_
_atom_site_label
_atom_site_fract_x
_atom_site_fract_y
_atom_site_fract_z
Ca1 0.659 0.830 0.250
Ca2 0.170 0.341 0.250
Ca3 0.830 0.659 0.750
Tb1 0.333 0.667 0.750
Ca4 0.830 0.170 0.750
Ca5 0.170 0.830 0.250
Ca6 0.341 0.170 0.750
Tb2 0.667 0.333 0.250
# **Space group**: No. 194
# **Total magnetization**: 0.3 μB/cell


(2)
# PBE CaY2Te4, optimized geometry
data_CaY2Te4
_cell_length_a 4.422
_cell_length_b 7.544
_cell_length_c 7.762
_cell_angle_alpha 72.15
_cell_angle_beta 90.00
_cell_angle_gamma 90.00
_symmetry_space_group_name_H-M 'P 1'
_symmetry_Int_Tables_number 1
loop_
_symmetry_equiv_pos_as_xyz
'x,y,z'
loop_
_atom_site_label
_atom_site_fract_x
_atom_site_fract_y
_atom_site_fract_z
Y1 0.500 0.500 0.000
Te1 0.500 0.760 0.245
Te2 0.000 0.746 0.762
Y2 0.000 0.000 0.000
Ca1 0.000 0.500 0.500
Te3 0.500 0.240 0.755
Te4 0.000 0.254 0.238
# **Space group**: No. 10


(3)
# PBE Ca3Tl, optimized geometry
data_Ca3Tl
_cell_length_a 7.371
_cell_length_b 7.371
_cell_length_c 5.683
_cell_angle_alpha 90.00
_cell_angle_beta 90.00
_cell_angle_gamma 120.00
_symmetry_space_group_name_H-M 'P 1'
_symmetry_Int_Tables_number 1
loop_
_symmetry_equiv_pos_as_xyz
'x,y,z'
loop_
_atom_site_label
_atom_site_fract_x
_atom_site_fract_y
_atom_site_fract_z
Ca1 0.174 0.826 0.250
Ca2 0.826 0.174 0.750
Ca3 0.174 0.349 0.250
Ca4 0.349 0.174 0.750
Tl1 0.667 0.333 0.250
Tl2 0.333 0.667 0.750
Ca5 0.651 0.826 0.250
Ca6 0.826 0.651 0.750
# **Space group**: No. 194


(4)
# PBE Ca3Tl, optimized geometry
data_Ca3Tl
_cell_length_a 5.738
_cell_length_b 5.738
_cell_length_c 5.738
_cell_angle_alpha 60.00
_cell_angle_beta 60.00
_cell_angle_gamma 60.00
_symmetry_space_group_name_H-M 'P 1'
_symmetry_Int_Tables_number 1
loop_
_symmetry_equiv_pos_as_xyz
'x,y,z'
loop_
_atom_site_label
_atom_site_fract_x
_atom_site_fract_y
_atom_site_fract_z
Ca1 0.500 0.500 0.500
Tl1 0.000 0.000 0.000
Ca2 0.750 0.750 0.750
Ca3 0.250 0.250 0.250
# **Space group**: No. 225


(5)
# PBE CaTl, optimized geometry
data_CaTl
_cell_length_a 3.908
_cell_length_b 3.908
_cell_length_c 3.908
_cell_angle_alpha 90.00
_cell_angle_beta 90.00
_cell_angle_gamma 90.00
_symmetry_space_group_name_H-M 'P 1'
_symmetry_Int_Tables_number 1
loop_
_symmetry_equiv_pos_as_xyz
'x,y,z'
loop_
_atom_site_label
_atom_site_fract_x
_atom_site_fract_y
_atom_site_fract_z
Ca1 0.000 0.000 0.000
Tl1 0.500 0.500 0.500
# **Space group**: No. 221


(6)
# PBE Ca2TlZn, optimized geometry
data_Ca2TlZn
_cell_length_a 5.367
_cell_length_b 5.367
_cell_length_c 5.367
_cell_angle_alpha 60.00
_cell_angle_beta 60.00
_cell_angle_gamma 60.00
_symmetry_space_group_name_H-M 'P 1'
_symmetry_Int_Tables_number 1
loop_
_symmetry_equiv_pos_as_xyz
'x,y,z'
loop_
_atom_site_label
_atom_site_fract_x
_atom_site_fract_y
_atom_site_fract_z
Ca1 0.750 0.750 0.750
Ca2 0.250 0.250 0.250
Zn1 0.000 0.000 0.000
Tl1 0.500 0.500 0.500
# **Space group**: No. 225


(7)
# PBE CaTmZn2, optimized geometry
data_CaTmZn2
_cell_length_a 5.066
_cell_length_b 5.066
_cell_length_c 5.066
_cell_angle_alpha 60.00
_cell_angle_beta 60.00
_cell_angle_gamma 60.00
_symmetry_space_group_name_H-M 'P 1'
_symmetry_Int_Tables_number 1
loop_
_symmetry_equiv_pos_as_xyz
'x,y,z'
loop_
_atom_site_label
_atom_site_fract_x
_atom_site_fract_y
_atom_site_fract_z
Zn1 0.750 0.750 0.750
Zn2 0.250 0.250 0.250
Ca1 0.500 0.500 0.500
Tm1 0.000 0.000 0.000
# **Space group**: No. 225


(8)
# PBE Ca3U, optimized geometry
data_Ca3U
_cell_length_a 5.959
_cell_length_b 5.959
_cell_length_c 5.959
_cell_angle_alpha 60.00
_cell_angle_beta 60.00
_cell_angle_gamma 60.00
_symmetry_space_group_name_H-M 'P 1'
_symmetry_Int_Tables_number 1
loop_
_symmetry_equiv_pos_as_xyz
'x,y,z'
loop_
_atom_site_label
_atom_site_fract_x
_atom_site_fract_y
_atom_site_fract_z
U1 0.000 0.000 0.000
Ca1 0.500 0.500 0.500
Ca2 0.250 0.250 0.250
Ca3 0.750 0.750 0.750
# **Space group**: No. 225
# **Total magnetization**: 4.0 μB/cell


(9)
# PBE Ca3V, optimized geometry
data_Ca3V
_cell_length_a 6.252
_cell_length_b 6.252
_cell_length_c 6.252
_cell_angle_alpha 132.07
_cell_angle_beta 132.07
_cell_angle_gamma 70.12
_symmetry_space_group_name_H-M 'P 1'
_symmetry_Int_Tables_number 1
loop_
_symmetry_equiv_pos_as_xyz
'x,y,z'
loop_
_atom_site_label
_atom_site_fract_x
_atom_site_fract_y
_atom_site_fract_z
Ca1 0.250 0.750 0.500
Ca2 0.750 0.250 0.500
Ca3 0.500 0.500 0.000
V1 0.000 0.000 0.000
# **Space group**: No. 139
# **Total magnetization**: 4.1 μB/cell


(10)
# PBE Ca3W, optimized geometry
data_Ca3W
_cell_length_a 7.081
_cell_length_b 7.081
_cell_length_c 5.423
_cell_angle_alpha 90.00
_cell_angle_beta 90.00
_cell_angle_gamma 120.00
_symmetry_space_group_name_H-M 'P 1'
_symmetry_Int_Tables_number 1
loop_
_symmetry_equiv_pos_as_xyz
'x,y,z'
loop_
_atom_site_label
_atom_site_fract_x
_atom_site_fract_y
_atom_site_fract_z
Ca1 0.179 0.359 0.250
Ca2 0.359 0.179 0.750
Ca3 0.821 0.179 0.750
Ca4 0.179 0.821 0.250
Ca5 0.641 0.821 0.250
Ca6 0.821 0.641 0.750
W1 0.333 0.667 0.750
W2 0.667 0.333 0.250
# **Space group**: No. 194
# **Total magnetization**: 4.7 μB/cell


(11)
# PBE CaW, optimized geometry
data_CaW
_cell_length_a 4.883
_cell_length_b 4.883
_cell_length_c 4.883
_cell_angle_alpha 60.00
_cell_angle_beta 60.00
_cell_angle_gamma 60.00
_symmetry_space_group_name_H-M 'P 1'
_symmetry_Int_Tables_number 1
loop_
_symmetry_equiv_pos_as_xyz
'x,y,z'
loop_
_atom_site_label
_atom_site_fract_x
_atom_site_fract_y
_atom_site_fract_z
Ca1 0.750 0.750 0.750
Ca2 0.500 0.500 0.500
W1 0.250 0.250 0.250
W2 0.000 0.000 0.000
# **Space group**: No. 227
# **Total magnetization**: 0.0 μB/cell


(12)
# PBE Ca3Y, optimized geometry
data_Ca3Y
_cell_length_a 6.660
_cell_length_b 6.660
_cell_length_c 6.660
_cell_angle_alpha 132.27
_cell_angle_beta 132.27
_cell_angle_gamma 69.80
_symmetry_space_group_name_H-M 'P 1'
_symmetry_Int_Tables_number 1
loop_
_symmetry_equiv_pos_as_xyz
'x,y,z'
loop_
_atom_site_label
_atom_site_fract_x
_atom_site_fract_y
_atom_site_fract_z
Ca1 0.500 0.500 0.000
Y1 0.000 0.000 0.000
Ca2 0.750 0.250 0.500
Ca3 0.250 0.750 0.500
# **Space group**: No. 139
# **Total magnetization**: 0.1 μB/cell


(13)
# PBE Ca3Y, optimized geometry
data_Ca3Y
_cell_length_a 5.413
_cell_length_b 5.413
_cell_length_c 5.413
_cell_angle_alpha 90.00
_cell_angle_beta 90.00
_cell_angle_gamma 90.00
_symmetry_space_group_name_H-M 'P 1'
_symmetry_Int_Tables_number 1
loop_
_symmetry_equiv_pos_as_xyz
'x,y,z'
loop_
_atom_site_label
_atom_site_fract_x
_atom_site_fract_y
_atom_site_fract_z
Ca1 0.500 0.500 0.000
Ca2 0.000 0.500 0.500
Y1 0.000 0.000 0.000
Ca3 0.500 0.000 0.500
# **Space group**: No. 221
# **Total magnetization**: 0.1 μB/cell


(14)
# PBE Ca3Y, optimized geometry
data_Ca3Y
_cell_length_a 6.004
_cell_length_b 6.004
_cell_length_c 6.004
_cell_angle_alpha 60.00
_cell_angle_beta 60.00
_cell_angle_gamma 60.00
_symmetry_space_group_name_H-M 'P 1'
_symmetry_Int_Tables_number 1
loop_
_symmetry_equiv_pos_as_xyz
'x,y,z'
loop_
_atom_site_label
_atom_site_fract_x
_atom_site_fract_y
_atom_site_fract_z
Ca1 0.500 0.500 0.500
Y1 0.000 0.000 0.000
Ca2 0.250 0.250 0.250
Ca3 0.750 0.750 0.750
# **Space group**: No. 225
# **Total magnetization**: 0.2 μB/cell


no.,total energy (eV per atom)
1,-2.536
2,-5.415
3,-2.309
4,-2.273
5,-2.630
6,-2.255
7,-2.539
8,-3.653
9,-3.294
10,-3.854
11,-6.534
12,-2.988
13,-2.990
14,-2.998